Version i
Compound: TeMoWSeS2
Source: the Materials Project
Functional: PBE-GGA
Structure: optimized geometry

a = 3.3087 Å, b = 3.3087 Å, c = 37.6454 Å
α = 90.00°, β = 90.00°, γ = 120.00°
Fractional positions:
W 0.6667 0.3333 0.6576
S 0.6667 0.3333 0.4291
W 0.3333 0.6667 0.0939
S 0.6667 0.3333 0.0532
Se 0.3333 0.6667 0.3264
Te 0.3333 0.6667 0.7087
Mo 0.6667 0.3333 0.2818
Se 0.3333 0.6667 0.2372
S 0.6667 0.3333 0.5102
S 0.6667 0.3333 0.1347
Mo 0.3333 0.6667 0.4696
Te 0.3333 0.6667 0.6064

Summary:
The space group is P3m1.

---

Version ii
Compound: TeMoWSeS2
Source: the Materials Project
Functional: PBE-GGA
Structure: optimized geometry

a = 3.3039 Å, b = 3.3039 Å, c = 37.6547 Å
α = 90.00°, β = 90.00°, γ = 120.00°
Fractional positions:
S 0.0000 0.0000 0.6983
Te 0.3333 0.6667 0.4189
Mo 0.3333 0.6667 0.2818
Mo 0.0000 0.0000 0.4697
S 0.0000 0.0000 0.6168
W 0.3333 0.6667 0.6576
S 0.3333 0.6667 0.0532
W 0.0000 0.0000 0.0939
Se 0.0000 0.0000 0.2372
Te 0.3333 0.6667 0.5204
S 0.3333 0.6667 0.1347
Se 0.0000 0.0000 0.3264

Summary:
The space group is P3m1.

---

Which one is most stable, and which one is least stable? version ii is the most stable of them, while version i is the least stable.

---

Version i
Compound: Te4Mo3WSe2S2
Source: the Materials Project
Functional: PBE-GGA
Structure: optimized geometry

a = 3.3921 Å, b = 3.3921 Å, c = 38.7656 Å
α = 90.00°, β = 90.00°, γ = 120.00°
Fractional positions:
Se 0.3333 0.6667 0.2392
W 0.6667 0.3333 0.6575
Te 0.6667 0.3333 0.1423
Mo 0.3333 0.6667 0.0939
S 0.3333 0.6667 0.6964
S 0.3333 0.6667 0.6187
Se 0.3333 0.6667 0.3244
Mo 0.6667 0.3333 0.2818
Mo 0.3333 0.6667 0.4696
Te 0.6667 0.3333 0.5181
Te 0.6667 0.3333 0.4213
Te 0.6667 0.3333 0.0455

Summary:
The space group is P3m1.

---

Version ii
Compound: Te4Mo3WSe2S2
Source: the Materials Project
Functional: PBE-GGA
Structure: optimized geometry

a = 3.4002 Å, b = 3.4002 Å, c = 38.7665 Å
α = 90.00°, β = 90.00°, γ = 120.00°
Fractional positions:
Se 0.0000 0.0000 0.3243
Mo 0.3333 0.6667 0.6576
Se 0.0000 0.0000 0.2392
Mo 0.3333 0.6667 0.2818
Mo 0.0000 0.0000 0.0940
Te 0.0000 0.0000 0.6093
W 0.0000 0.0000 0.4696
S 0.3333 0.6667 0.1327
Te 0.3333 0.6667 0.4210
S 0.3333 0.6667 0.0551
Te 0.0000 0.0000 0.7059
Te 0.3333 0.6667 0.5182

Summary:
The space group is P3m1.

---

Which one is most stable, and which one is least stable? version i is the most stable of them, while version ii is the least stable.

---

Version i
Compound: RbYMg6O8
Source: the Materials Project
Functional: PBE-GGA
Structure: optimized geometry

a = 8.9680 Å, b = 4.6485 Å, c = 4.6485 Å
α = 90.00°, β = 90.00°, γ = 90.00°
Fractional positions:
O 0.7164 0.5000 0.5000
O 0.5000 0.0000 0.5000
O 0.2836 0.5000 0.5000
Y 0.0000 0.0000 0.0000
Mg 0.5000 0.0000 0.0000
O 0.2615 0.0000 0.0000
Rb 0.0000 0.5000 0.5000
O 0.0000 0.0000 0.5000
Mg 0.5000 0.5000 0.5000
Mg 0.2699 0.0000 0.5000
Mg 0.7301 0.5000 0.0000
O 0.0000 0.5000 0.0000
Mg 0.7301 0.0000 0.5000
O 0.5000 0.5000 0.0000
O 0.7385 0.0000 0.0000
Mg 0.2699 0.5000 0.0000

Summary:
The space group is P4/mmm.

---

Version ii
Compound: RbYMg6O8
Source: the Materials Project
Functional: PBE-GGA
Structure: optimized geometry

a = 9.1623 Å, b = 4.6329 Å, c = 4.6329 Å
α = 90.00°, β = 90.00°, γ = 90.00°
Fractional positions:
O 0.2489 0.5000 0.5000
Mg 0.5000 0.5000 0.5000
O 0.0000 0.5000 0.0000
O 0.7511 0.5000 0.5000
Mg 0.2683 0.5000 0.0000
Mg 0.2683 0.0000 0.5000
O 0.0000 0.0000 0.5000
O 0.7673 0.0000 0.0000
O 0.5000 0.0000 0.5000
Mg 0.7317 0.5000 0.0000
Mg 0.7317 0.0000 0.5000
Mg 0.0000 0.5000 0.5000
Y 0.0000 0.0000 0.0000
O 0.2327 0.0000 0.0000
Rb 0.5000 0.0000 0.0000
O 0.5000 0.5000 0.0000

Summary:
The space group is P4/mmm.

---

Which one is most stable, and which one is least stable? version i is the most stable of them, while version ii is the least stable.

---

Version i
Compound: KMg6Sb
Source: the Materials Project
Functional: PBE-GGA
Structure: optimized geometry

a = 5.1713 Å, b = 6.9036 Å, c = 11.8416 Å
α = 90.00°, β = 90.00°, γ = 90.00°
Fractional positions:
Mg 0.5000 0.2259 0.4262
Sb 0.5000 0.5000 0.1505
Mg 0.0000 0.7523 0.5794
Mg 0.0000 0.5000 0.8413
K 0.0000 0.0000 0.8289
Mg 0.0000 0.7477 0.0794
Mg 0.0000 0.0000 0.3413
Mg 0.5000 0.7741 0.4262
Mg 0.5000 0.2741 0.9262
Mg 0.0000 0.2477 0.5794
K 0.0000 0.5000 0.3289
Mg 0.5000 0.5000 0.6679
Mg 0.5000 0.0000 0.1679
Mg 0.5000 0.7259 0.9262
Mg 0.0000 0.2523 0.0794
Sb 0.5000 0.0000 0.6505

---

Version ii
Compound: KMg6Sb
Source: the Materials Project
Functional: PBE-GGA
Structure: optimized geometry

a = 6.8172 Å, b = 6.8172 Å, c = 5.2689 Å
α = 90.00°, β = 90.00°, γ = 121.88°
Fractional positions:
Mg 0.8314 0.6648 0.5000
Sb 0.3355 0.6645 0.5000
Mg 0.6644 0.8248 0.0000
Mg 0.1645 0.8355 0.0000
Mg 0.3352 0.1686 0.5000
K 0.8327 0.1673 0.5000
Mg 0.1752 0.3356 0.0000
Mg 0.6611 0.3389 0.0000

Summary:
The space group is Amm2.

---

Which one is most stable, and which one is least stable? version i is the most stable of them, while version ii is the least stable.

---

Version i
Compound: Na3Zr2Si2PO12
Source: the Materials Project
Functional: PBE-GGA
Structure: optimized geometry

a = 9.3843 Å, b = 9.4815 Å, c = 18.9054 Å
α = 58.12°, β = 58.16°, γ = 58.27°
Fractional positions:
O 0.9583 0.2419 0.1852
O 0.7900 0.6235 0.0035
Si 0.7457 0.4577 0.5219
Zr 0.1433 0.1512 0.5691
Zr 0.8554 0.8443 0.4228
Na 0.6824 0.2360 0.9659
Zr 0.3543 0.3648 0.1722
O 0.4213 0.2144 0.2889
O 0.9174 0.2788 0.5380
Na 0.2437 0.9086 0.3215
Si 0.0481 0.7491 0.7329
Zr 0.6442 0.6501 0.8270
Si 0.4656 0.0353 0.3721
O 0.7708 0.6364 0.4998
O 0.1441 0.2525 0.2415
O 0.2202 0.5720 0.7175
O 0.0490 0.7585 0.3179
O 0.0768 0.9184 0.6409
Si 0.0408 0.7520 0.2348
O 0.4371 0.2085 0.7873
O 0.0362 0.7796 0.8136
O 0.5337 0.1254 0.1311
O 0.0828 0.7274 0.9647
O 0.8640 0.7330 0.7506
O 0.0692 0.7263 0.4704
O 0.3514 0.9996 0.6313
O 0.6636 0.9978 0.3647
P 0.5359 0.9662 0.1258
O 0.7052 0.4839 0.4403
Zr 0.8555 0.8463 0.9242
O 0.5721 0.4306 0.6134
O 0.4633 0.8646 0.3698
O 0.9672 0.2178 0.6912
Si 0.7534 0.4553 0.0205
O 0.3179 0.0558 0.4676
O 0.5881 0.7930 0.6999
Na 0.4733 0.4680 0.7700
Na 0.2447 0.8873 0.8035
O 0.1295 0.2642 0.7457
O 0.4614 0.8688 0.8611
Na 0.6685 0.2484 0.4515
Na 0.9146 0.6710 0.6249
O 0.7954 0.4287 0.7744
O 0.2158 0.3730 0.4988
P 0.5366 0.9680 0.6240
Si 0.4611 0.0286 0.8740
Na 0.3436 0.7520 0.5442
O 0.6921 0.9355 0.0393
O 0.8068 0.4253 0.2795
P 0.9606 0.2519 0.2638
Si 0.2548 0.5407 0.9741
Si 0.2459 0.5459 0.4809
Na 0.7532 0.1241 0.1947
Na 0.1868 0.8222 0.0266
O 0.4260 0.5646 0.8793
O 0.3004 0.5096 0.0552
O 0.2739 0.5172 0.5670
O 0.4183 0.5683 0.3883
O 0.2169 0.3698 0.9975
Zr 0.1493 0.1494 0.0661
O 0.5737 0.7947 0.2059
O 0.9264 0.0925 0.3508
Na 0.8135 0.5796 0.1296
O 0.3554 0.0052 0.1252
Zr 0.3470 0.3554 0.6803
O 0.2996 0.0482 0.9665
O 0.8479 0.7445 0.2607
Na 0.3032 0.4634 0.3352
P 0.9515 0.2524 0.7663
O 0.6848 0.9513 0.5339
O 0.9224 0.2729 0.0352
O 0.2014 0.5722 0.2162
O 0.9157 0.0988 0.8564
O 0.5297 0.1267 0.6326
O 0.7134 0.4915 0.9362
Zr 0.6457 0.6515 0.3266
O 0.6535 0.9811 0.8759
O 0.5836 0.4223 0.1122
O 0.0641 0.9260 0.1462
Na 0.7540 0.0981 0.6831

Summary:
The space group is P1.

---

Version ii
Compound: Na3Zr2Si2PO12
Source: the Materials Project
Functional: PBE-GGA
Structure: optimized geometry

a = 9.1367 Å, b = 9.1670 Å, c = 9.3097 Å
α = 61.42°, β = 61.11°, γ = 60.31°
Fractional positions:
O 0.2691 0.6282 0.0517
O 0.1067 0.0008 0.0868
O 0.0499 0.7892 0.7434
Si 0.2526 0.4669 0.2371
O 0.7497 0.4799 0.6136
Zr 0.8519 0.3547 0.4384
O 0.9932 0.8892 0.4161
Zr 0.3548 0.8462 0.9459
Na 0.7495 0.9106 0.6710
O 0.4270 0.0709 0.7895
O 0.9368 0.2194 0.2487
Zr 0.1598 0.6449 0.5522
Si 0.4688 0.2479 0.7357
Na 0.9363 0.7116 0.1074
Na 0.6152 0.3911 0.2458
Zr 0.6446 0.1546 0.0545
P 0.9537 0.0406 0.2527
Na 0.0531 0.3033 0.9092
O 0.2875 0.4227 0.7225
O 0.7389 0.3695 0.9411
O 0.6377 0.2559 0.5564
O 0.0674 0.4391 0.2934
O 0.5214 0.2396 0.8861
O 0.0073 0.1162 0.5825
O 0.8931 0.9992 0.9109
O 0.4750 0.7658 0.1151
O 0.9312 0.5735 0.7015
O 0.5800 0.7170 0.7747
Na 0.3903 0.5999 0.7591
Si 0.5333 0.7521 0.2644
O 0.7764 0.0605 0.2497
O 0.2249 0.9319 0.7485
O 0.2536 0.5247 0.3788
P 0.0441 0.9617 0.7438
Si 0.7520 0.5331 0.7570
O 0.5858 0.9222 0.2107
Na 0.4297 0.0129 0.4708
O 0.3730 0.7343 0.4505
O 0.4257 0.2840 0.2267
O 0.7134 0.5742 0.2741

Summary:
The space group is P1.

---

Which one is most stable, and which one is least stable? version ii is the most stable of them, while version i is the least stable.

---

Version i
Compound: CaH16O10
Source: the Materials Project
Functional: PBE-GGA
Structure: optimized geometry

a = 6.2077 Å, b = 6.3502 Å, c = 10.8366 Å
α = 92.33°, β = 91.68°, γ = 90.81°
Fractional positions:
O 0.8719 0.3168 0.8719
H 0.3505 0.7938 0.3379
O 0.8518 0.7219 0.3804
H 0.8894 0.6601 0.5366
O 0.5076 0.4944 0.3066
H 0.8031 0.8647 0.4041
O 0.6868 0.8857 0.8646
O 0.4906 0.5122 0.6593
H 0.9680 0.4410 0.8618
O 0.5168 0.5005 0.7956
H 0.2980 0.9000 0.5181
H 0.3154 0.1282 0.9654
H 0.6539 0.4146 0.8131
H 0.7606 0.3571 0.1312
O 0.1264 0.6837 0.8727
H 0.2678 0.6294 0.8501
H 0.3603 0.2631 0.8458
H 0.5147 0.0357 0.3630
O 0.4947 0.4969 0.1700
H 0.0401 0.4822 0.3692
H 0.7074 0.1245 0.5274
H 0.4027 0.2698 0.1351
H 0.8798 0.3024 0.9697
H 0.7265 0.5810 0.6343
H 0.2674 0.6186 0.1386
O 0.9053 0.3126 0.1088
H 0.1278 0.6926 0.9666
H 0.7056 0.8603 0.0239
H 0.2858 0.3634 0.6346
O 0.7091 0.0828 0.6150
H 0.1351 0.3193 0.4641
H 0.7157 0.6455 0.3524
H 0.6513 0.2575 0.3433
H 0.4722 0.0259 0.1238
H 0.0355 0.4175 0.6322
Ca 0.0067 0.9889 0.7408
H 0.5635 0.0195 0.6249
H 0.3698 0.7379 0.6260
O 0.1183 0.6722 0.1189
O 0.6893 0.8617 0.1154
H 0.0249 0.5337 0.1194
O 0.1358 0.2954 0.6192
H 0.5585 0.9798 0.8601
O 0.3208 0.1210 0.8714
O 0.8839 0.6308 0.6255
O 0.6798 0.1111 0.3654
H 0.6295 0.7187 0.1351
H 0.6295 0.7438 0.8360
O 0.3451 0.1203 0.1130
H 0.3594 0.4405 0.3322
Ca 0.0209 0.0234 0.2252
O 0.1313 0.3575 0.3739
O 0.3163 0.9365 0.3674
O 0.3074 0.8813 0.6113

Summary:
The space group is P1.

---

Version ii
Compound: CaH16O10
Source: the Materials Project
Functional: PBE-GGA
Structure: optimized geometry

a = 5.9542 Å, b = 6.4351 Å, c = 12.2580 Å
α = 97.42°, β = 100.17°, γ = 85.63°
Fractional positions:
O 0.9143 0.3067 0.1501
H 0.5522 0.0607 0.3745
H 0.6257 0.7365 0.1106
H 0.7319 0.3488 0.9019
H 0.0758 0.4195 0.6475
H 0.0427 0.7391 0.6444
O 0.3128 0.8717 0.3670
H 0.2764 0.6608 0.9061
H 0.9845 0.2628 0.8653
H 0.0546 0.3234 0.1209
H 0.7181 0.9102 0.2139
H 0.0747 0.6350 0.1564
H 0.3155 0.0552 0.8600
O 0.5658 0.5294 0.5587
O 0.5222 0.5237 0.4345
O 0.3143 0.1711 0.0843
H 0.3678 0.3022 0.8848
O 0.1440 0.7654 0.8889
H 0.0618 0.7202 0.8126
O 0.1244 0.3387 0.3841
O 0.8374 0.2246 0.8829
H 0.4027 0.7001 0.5856
H 0.2726 0.8315 0.2859
H 0.2042 0.2305 0.7072
O 0.1771 0.7292 0.1364
H 0.7924 0.6201 0.6193
O 0.6847 0.8850 0.1321
Ca 0.0261 0.0456 0.4769
H 0.6632 0.8104 0.8066
H 0.2820 0.4000 0.4004
H 0.0740 0.3139 0.3030
Ca 0.9493 0.9766 0.0146
O 0.2603 0.1950 0.8398
O 0.5288 0.5129 0.0664
H 0.6227 0.2995 0.3895
H 0.3969 0.2978 0.0747
H 0.4393 0.0693 0.1113
O 0.5074 0.4996 0.9423
O 0.6458 0.8319 0.8848
H 0.5950 0.6945 0.9046
H 0.9665 0.6067 0.3849
H 0.3871 0.7377 0.3987
O 0.1495 0.2770 0.6319
O 0.6764 0.1477 0.3657
O 0.2985 0.8395 0.6032
H 0.7280 0.1517 0.6923
H 0.7192 0.6549 0.4089
H 0.4118 0.9490 0.6206
O 0.8533 0.7261 0.3897
O 0.9414 0.6589 0.6765
H 0.7774 0.3952 0.1152
H 0.3081 0.6378 0.1062
H 0.6077 0.2738 0.5928
O 0.6606 0.1277 0.6132

Summary:
The space group is P1.

---

Which one is most stable, and which one is least stable? version i is the most stable of them, while version ii is the least stable.